Compound: MgCo4As4S4
Source: Materials Project
Functional: GGA-PBE
Structure: relaxed

Cell and atoms, written as POSCAR:
```
MgCo4As4S4
1.0
5.5587 0.0000 0.0000
-0.0141 5.6456 0.0000
-0.5302 -0.5710 7.2870
Mg Co As S
1 4 4 4
Cartesian
0.0000 0.0000 0.0000
1.5214 1.2898 2.0097
1.3593 4.1215 4.7231
4.0892 4.1161 2.0405
4.3489 1.3033 4.7135
0.7590 4.7641 2.5191
2.1804 2.0011 4.2027
3.5358 4.8031 4.2315
4.9150 1.9757 2.4769
0.7335 0.4756 5.4002
2.1649 3.3010 1.3331
3.4489 0.4791 1.3290
4.9696 3.3083 5.4370
```

Computed properties:
The distance to the lowest polymorph of the same formula is 0 meV/atom. The total DFT energy (no corrections) comes out at -0.389 Ry/atom. The space group is P1.

Compound: MgSiIr2
Source: Materials Project
Functional: GGA-PBE
Structure: relaxed

Cell and atoms, written as POSCAR:
```
MgSiIr2
1.0
0.0000 3.0188 3.0188
3.0188 0.0000 3.0188
3.0188 3.0188 0.0000
Mg Si Ir
1 1 2
Cartesian
0.0000 0.0000 0.0000
3.0188 3.0188 3.0188
1.5094 1.5094 1.5094
4.5283 4.5283 4.5283
```

Computed properties:
The total DFT energy (no corrections) comes out at -0.494 Ry/atom. The space group is Fm-3m.